[1]
# YH18Br3O18 (GGA-PBE, relaxed)
# - DFT formation energy: -1.193 eV per atom
# - E_tot: -393.75 eV per cell
data_YH18Br3O18
_cell_length_a 11.9499
_cell_length_b 11.9499
_cell_length_c 6.7896
_cell_angle_alpha 90.00
_cell_angle_beta 90.00
_cell_angle_gamma 120.00
_space_group_name_H-M_alt 'P 63 m c'
_space_group_IT_number 186
_space_group_name_Hall 'P 6c -2c'
loop_
_atom_site_label
_atom_site_type_symbol
_atom_site_fract_x
_atom_site_fract_y
_atom_site_fract_z
Y1 Y 0.3333 0.6667 0.0000
H1 H 0.1202 0.3761 0.0052
H2 H 0.1309 0.4993 0.3102
H3 H 0.1308 0.4992 0.6916
Br1 Br 0.1317 0.2634 0.5068
O1 O 0.0696 0.3647 0.5009
O2 O 0.0948 0.1896 0.2891
O3 O 0.1604 0.5802 0.2364
O4 O 0.1605 0.5802 0.7647
O5 O 0.2149 0.4297 0.9936

[2]
# ScZnGaS4 (GGA-PBE, relaxed)
# - DFT formation energy: -1.234 eV per atom
# - E_tot: -33.79 eV per cell
data_ScZnGaS4
_cell_length_a 3.8236
_cell_length_b 3.8236
_cell_length_c 12.5088
_cell_angle_alpha 90.00
_cell_angle_beta 90.00
_cell_angle_gamma 120.00
_space_group_name_H-M_alt 'P 3 m 1'
_space_group_IT_number 156
loop_
_space_group_symop_operation_xyz
'x,y,z'
'-y,x-y,z'
'-x+y,-x,z'
'-y,-x,z'
'-x+y,y,z'
'x,x-y,z'
loop_
_atom_site_label
_atom_site_type_symbol
_atom_site_fract_x
_atom_site_fract_y
_atom_site_fract_z
Sc1 Sc 0.0000 0.0000 0.0000
Zn1 Zn 0.3333 0.6667 0.7054
Ga1 Ga 0.6667 0.3333 0.4282
S1 S 0.0000 0.0000 0.3505
S2 S 0.0000 0.0000 0.8114
S3 S 0.6667 0.3333 0.0850
S4 S 0.6667 0.3333 0.6056

[3]
# Na2ZnH4S2O8 (GGA-PBE, relaxed)
# - DFT formation energy: -1.460 eV per atom
# - E_tot: -169.31 eV per cell
data_Na2ZnH4S2O8
_cell_length_a 5.510
_cell_length_b 8.306
_cell_length_c 11.206
_cell_angle_alpha 90.00
_cell_angle_beta 110.75
_cell_angle_gamma 90.00
_space_group_name_H-M_alt 'P 1 21/c 1'
_space_group_IT_number 14
loop_
_space_group_symop_operation_xyz
'x,y,z'
'-x,-y,-z'
'-x,y+1/2,-z+1/2'
'x,-y+1/2,z+1/2'
loop_
_atom_site_label
_atom_site_type_symbol
_atom_site_fract_x
_atom_site_fract_y
_atom_site_fract_z
Na1 Na 0.167 0.031 0.377
Zn1 Zn 0.000 0.000 0.000
H1 H 0.256 0.669 0.471
H2 H 0.269 0.607 0.424
S1 S 0.338 0.225 0.665
O1 O 0.156 0.108 0.578
O2 O 0.277 0.249 0.281
O3 O 0.301 0.112 0.091
O4 O 0.391 0.678 0.808

[4]
# HfZr (GGA-PBE, relaxed)
# - DFT formation energy: 0.002 eV per atom
# - E_tot: -18.50 eV per cell
data_HfZr
_cell_length_a 3.2158
_cell_length_b 3.2158
_cell_length_c 5.1344
_cell_angle_alpha 90.00
_cell_angle_beta 90.00
_cell_angle_gamma 120.00
_space_group_name_H-M_alt 'P -6 m 2'
_space_group_IT_number 187
_space_group_name_Hall 'P -6 2'
loop_
_atom_site_label
_atom_site_type_symbol
_atom_site_fract_x
_atom_site_fract_y
_atom_site_fract_z
Hf1 Hf 0.0000 0.0000 0.0000
Zr1 Zr 0.6667 0.3333 0.5000

[5]
# La4MgCu4O10 (GGA-PBE, relaxed)
# - DFT formation energy: -2.368 eV per atom
# - E_tot: -125.34 eV per cell
data_La4MgCu4O10
_cell_length_a 5.828
_cell_length_b 3.816
_cell_length_c 13.027
_cell_angle_alpha 90.00
_cell_angle_beta 102.11
_cell_angle_gamma 90.00
_space_group_name_H-M_alt 'P 1 2/m 1'
_space_group_IT_number 10
loop_
_space_group_symop_operation_xyz
'x,y,z'
'-x,-y,-z'
'-x,y,-z'
'x,-y,z'
loop_
_atom_site_label
_atom_site_type_symbol
_atom_site_fract_x
_atom_site_fract_y
_atom_site_fract_z
La1 La 0.039 0.000 0.232
La2 La 0.393 0.000 0.613
Mg1 Mg 0.500 0.000 0.000
Cu1 Cu 0.123 0.500 0.426
Cu2 Cu 0.361 0.500 0.130
O1 O 0.176 0.000 0.425
O2 O 0.196 0.500 0.697
O3 O 0.287 0.500 0.275
O4 O 0.310 0.000 0.115
O5 O 0.500 0.500 0.000
O6 O 0.500 0.500 0.500

[6]
# Ca3B2N4 (GGA-PBE, relaxed)
# - DFT formation energy: -1.337 eV per atom
# - E_tot: -759.74 eV per cell
data_Ca3B2N4
_cell_length_a 10.295
_cell_length_b 7.363
_cell_length_c 20.955
_cell_angle_alpha 90.00
_cell_angle_beta 90.00
_cell_angle_gamma 90.00
_space_group_name_H-M_alt 'C m c e'
_space_group_IT_number 64
_space_group_name_Hall '-C 2ac 2'
loop_
_atom_site_label
_atom_site_type_symbol
_atom_site_fract_x
_atom_site_fract_y
_atom_site_fract_z
Ca1 Ca 0.000 0.000 0.000
Ca2 Ca 0.000 0.029 0.246
Ca3 Ca 0.000 0.240 0.879
Ca4 Ca 0.246 0.019 0.378
B1 B 0.000 0.233 0.628
B2 B 0.250 0.219 0.750
B3 B 0.250 0.250 0.000
N1 N 0.000 0.054 0.641
N2 N 0.000 0.086 0.120
N3 N 0.157 0.219 0.795
N4 N 0.178 0.210 0.948

[7]
# Li3Co4S8 (GGA-PBE, relaxed)
# - DFT formation energy: -0.894 eV per atom
# - E_tot: -229.93 eV per cell
data_Li3Co4S8
_cell_length_a 6.7654
_cell_length_b 6.7654
_cell_length_c 18.7664
_cell_angle_alpha 90.00
_cell_angle_beta 90.00
_cell_angle_gamma 120.00
_space_group_name_H-M_alt 'R 3 m'
_space_group_IT_number 160
_space_group_name_Hall 'R 3 -2"'
loop_
_atom_site_label
_atom_site_type_symbol
_atom_site_fract_x
_atom_site_fract_y
_atom_site_fract_z
Li1 Li 0.1679 0.3359 0.0000
Co1 Co 0.0000 0.0000 0.5242
Co2 Co 0.0052 0.5026 0.5217
S1 S 0.0000 0.0000 0.2541
S2 S 0.0000 0.0000 0.7947
S3 S 0.9997 0.4998 0.7950
S4 S 0.1673 0.3346 0.5855

[8]
# K8TeP8H10O32 (GGA-PBE, relaxed)
# - DFT formation energy: -2.232 eV per atom
# - Distance to the lowest polymorph of the same formula: 0.000 eV per atom
# - E_tot: -357.32 eV per cell
data_K8TeP8H10O32
_cell_length_a 7.618
_cell_length_b 10.831
_cell_length_c 11.567
_cell_angle_alpha 66.94
_cell_angle_beta 79.74
_cell_angle_gamma 71.23
_space_group_name_H-M_alt 'P -1'
_space_group_IT_number 2
loop_
_space_group_symop_operation_xyz
'x,y,z'
'-x,-y,-z'
loop_
_atom_site_label
_atom_site_type_symbol
_atom_site_fract_x
_atom_site_fract_y
_atom_site_fract_z
K1 K 0.079 0.118 0.024
K2 K 0.161 0.087 0.358
K3 K 0.258 0.608 0.560
K4 K 0.371 0.585 0.151
Te1 Te 0.000 0.500 0.000
P1 P 0.290 0.305 0.467
P2 P 0.370 0.819 0.672
P3 P 0.431 0.919 0.863
P4 P 0.435 0.217 0.720
H1 H 0.040 0.171 0.719
H2 H 0.144 0.389 0.838
H3 H 0.164 0.843 0.256
H4 H 0.176 0.657 0.837
H5 H 0.301 0.326 0.063
O1 O 0.020 0.400 0.886
O2 O 0.039 0.665 0.860
O3 O 0.049 0.864 0.214
O4 O 0.104 0.310 0.440
O5 O 0.207 0.882 0.591
O6 O 0.266 0.431 0.022
O7 O 0.295 0.867 0.966
O8 O 0.299 0.229 0.620
O9 O 0.358 0.433 0.424
O10 O 0.360 0.342 0.759
O11 O 0.364 0.149 0.124
O12 O 0.365 0.820 0.327
O13 O 0.379 0.933 0.727
O14 O 0.384 0.679 0.776
O15 O 0.387 0.086 0.837
O16 O 0.439 0.185 0.418

[9]
# SrLaBr5 (GGA-PBE, relaxed)
# - DFT formation energy: -2.415 eV per atom
# - Distance to the lowest polymorph of the same formula: 0.000 eV per atom
# - E_tot: -58.09 eV per cell
data_SrLaBr5
_cell_length_a 8.655
_cell_length_b 4.472
_cell_length_c 14.083
_cell_angle_alpha 90.00
_cell_angle_beta 92.80
_cell_angle_gamma 90.00
_space_group_name_H-M_alt 'P 1 21/m 1'
_space_group_IT_number 11
loop_
_space_group_symop_operation_xyz
'x,y,z'
'-x,-y,-z'
'-x,y+1/2,-z'
'x,-y+1/2,z'
loop_
_atom_site_label
_atom_site_type_symbol
_atom_site_fract_x
_atom_site_fract_y
_atom_site_fract_z
Sr1 Sr 0.078 0.250 0.142
La1 La 0.423 0.750 0.348
Br1 Br 0.081 0.750 0.320
Br2 Br 0.143 0.250 0.927
Br3 Br 0.324 0.250 0.482
Br4 Br 0.347 0.750 0.139
Br5 Br 0.376 0.750 0.709

[10]
# Na3IrF6 (GGA-PBE, relaxed)
# - DFT formation energy: -2.396 eV per atom
# - E_tot: -181.91 eV per cell
data_Na3IrF6
_cell_length_a 8.396
_cell_length_b 8.396
_cell_length_c 8.396
_cell_angle_alpha 90.00
_cell_angle_beta 90.00
_cell_angle_gamma 90.00
_space_group_name_H-M_alt 'F m -3 m'
_space_group_IT_number 225
_space_group_name_Hall '-F 4 2 3'
loop_
_atom_site_label
_atom_site_type_symbol
_atom_site_fract_x
_atom_site_fract_y
_atom_site_fract_z
Na1 Na 0.000 0.000 0.000
Na2 Na 0.250 0.250 0.250
Ir1 Ir 0.000 0.000 0.500
F1 F 0.000 0.000 0.259

[11]
# RbMnCl3 (GGA-PBE, relaxed)
# - DFT formation energy: -1.824 eV per atom
# - E_tot: -137.79 eV per cell
data_RbMnCl3
_cell_length_a 7.2336
_cell_length_b 7.2336
_cell_length_c 17.9743
_cell_angle_alpha 90.00
_cell_angle_beta 90.00
_cell_angle_gamma 120.00
_space_group_name_H-M_alt 'P 63/m m c'
_space_group_IT_number 194
_space_group_name_Hall '-P 6c 2c'
loop_
_atom_site_label
_atom_site_type_symbol
_atom_site_fract_x
_atom_site_fract_y
_atom_site_fract_z
Rb1 Rb 0.0000 0.0000 0.2500
Rb2 Rb 0.3333 0.6667 0.0833
Mn1 Mn 0.0000 0.0000 0.0000
Mn2 Mn 0.3333 0.6667 0.6614
Cl1 Cl 0.0166 0.5083 0.7500
Cl2 Cl 0.1655 0.3311 0.5822

[12]
# NbHO3 (GGA-PBE, relaxed)
# - DFT formation energy: -2.475 eV per atom
# - Maximum piezoelectric response: 2.75 C/m2
# - E_tot: -154.60 eV per cell
data_NbHO3
_cell_length_a 6.704
_cell_length_b 6.725
_cell_length_c 6.742
_cell_angle_alpha 109.23
_cell_angle_beta 109.29
_cell_angle_gamma 109.22
_space_group_name_H-M_alt 'P 1'
_space_group_IT_number 1
loop_
_space_group_symop_operation_xyz
'x,y,z'
loop_
_atom_site_label
_atom_site_type_symbol
_atom_site_fract_x
_atom_site_fract_y
_atom_site_fract_z
Nb1 Nb 0.000 0.000 0.000
Nb2 Nb 0.025 0.501 0.514
Nb3 Nb 0.480 0.995 0.488
Nb4 Nb 0.530 0.491 0.003
H1 H 0.181 0.021 0.713
H2 H 0.236 0.661 0.019
H3 H 0.545 0.704 0.653
H4 H 0.796 0.024 0.329
O1 O 0.004 0.672 0.778
O2 O 0.194 0.149 0.852
O3 O 0.205 0.789 0.494
O4 O 0.288 0.053 0.256
O5 O 0.305 0.493 0.680
O6 O 0.371 0.667 0.146
O7 O 0.584 0.273 0.766
O8 O 0.667 0.852 0.671
O9 O 0.697 0.470 0.263
O10 O 0.785 0.785 0.071
O11 O 0.787 0.147 0.449
O12 O 0.995 0.268 0.175